(1)
The following is a PBE with a Hubbard U calculation of CaFeO3 after structural relaxation, from the Materials Project.

```
data_CaFeO3
_symmetry_space_group_name_H-M 'P 1'
_symmetry_Int_Tables_number 1
_cell_length_a 3.837
_cell_length_b 3.837
_cell_length_c 3.837
_cell_angle_alpha 90.00
_cell_angle_beta 90.00
_cell_angle_gamma 90.00
loop_
_symmetry_equiv_pos_as_xyz
'x,y,z'
loop_
_atom_site_label
_atom_site_fract_x
_atom_site_fract_y
_atom_site_fract_z
Ca1 0.500 0.500 0.500
Fe1 0.000 0.000 0.000
O1 0.500 0.000 0.000
O2 0.000 0.500 0.000
O3 0.000 0.000 0.500
```

Its magnetic moment is 4.06 Bohr magnetons per cell. The calculation puts the total energy at -6.377 eV per atom. For the volume, the calculation gives 11.3 A^3/atom. As for the energy of formation from the pure elements: -10.88 eV/f.u.

=====

(2)
The following is a PBE with a Hubbard U calculation of Ca2Fe3O8 after structural relaxation, from the Materials Project.

```
data_Ca2Fe3O8
_symmetry_space_group_name_H-M 'P 1'
_symmetry_Int_Tables_number 1
_cell_length_a 5.075
_cell_length_b 6.081
_cell_length_c 6.335
_cell_angle_alpha 118.67
_cell_angle_beta 106.84
_cell_angle_gamma 90.00
loop_
_symmetry_equiv_pos_as_xyz
'x,y,z'
loop_
_atom_site_label
_atom_site_fract_x
_atom_site_fract_y
_atom_site_fract_z
Ca1 0.660 0.722 0.444
Ca2 0.340 0.278 0.556
Fe1 0.500 0.000 0.000
Fe2 0.000 0.739 0.000
Fe3 0.000 0.261 0.000
O1 0.020 0.387 0.775
O2 0.980 0.612 0.225
O3 0.097 0.902 0.803
O4 0.903 0.098 0.197
O5 0.403 0.319 0.206
O6 0.403 0.887 0.206
O7 0.597 0.113 0.794
O8 0.597 0.682 0.794
```

Its magnetic moment is 12.00 Bohr magnetons per cell. The calculation puts the total energy at -6.371 eV per atom. For the volume, the calculation gives 12.5 A^3/atom. As for the energy of formation from the pure elements: -26.08 eV/f.u. For the energy above the most stable polymorph in this dataset, the calculation gives 16 meV/atom.

=====

(3)
The following is a PBE with a Hubbard U calculation of Ca2Fe2O5 after structural relaxation, from the Materials Project.

```
data_Ca2Fe2O5
_symmetry_space_group_name_H-M 'P 1'
_symmetry_Int_Tables_number 1
_cell_length_a 5.565
_cell_length_b 5.658
_cell_length_c 8.397
_cell_angle_alpha 109.37
_cell_angle_beta 109.03
_cell_angle_gamma 90.91
loop_
_symmetry_equiv_pos_as_xyz
'x,y,z'
loop_
_atom_site_label
_atom_site_fract_x
_atom_site_fract_y
_atom_site_fract_z
Ca1 0.419 0.365 0.287
Ca2 0.581 0.635 0.713
Ca3 0.868 0.922 0.287
Ca4 0.132 0.078 0.713
Fe1 0.500 0.000 0.500
Fe2 0.000 0.500 0.500
Fe3 0.175 0.691 0.000
Fe4 0.825 0.309 0.000
O1 0.232 0.732 0.463
O2 0.260 0.260 0.520
O3 0.740 0.740 0.480
O4 0.768 0.268 0.537
O5 0.389 0.926 0.219
O6 0.611 0.074 0.781
O7 0.830 0.293 0.219
O8 0.170 0.707 0.781
O9 0.181 0.343 0.000
O10 0.819 0.657 0.000
```

Its magnetic moment is 20.00 Bohr magnetons per cell. The calculation puts the total energy at -6.593 eV per atom. For the volume, the calculation gives 13.0 A^3/atom. As for the energy of formation from the pure elements: -21.59 eV/f.u. For the energy above the most stable polymorph in this dataset, the calculation gives 57 meV/atom.

=====

(4)
The following is a PBE with a Hubbard U calculation of CaFe2O4 after structural relaxation, from the Materials Project.

```
data_CaFe2O4
_symmetry_space_group_name_H-M 'P 1'
_symmetry_Int_Tables_number 1
_cell_length_a 5.409
_cell_length_b 5.409
_cell_length_c 3.371
_cell_angle_alpha 90.00
_cell_angle_beta 90.00
_cell_angle_gamma 90.00
loop_
_symmetry_equiv_pos_as_xyz
'x,y,z'
loop_
_atom_site_label
_atom_site_fract_x
_atom_site_fract_y
_atom_site_fract_z
Ca1 0.500 0.500 0.500
Fe1 0.500 0.000 0.000
Fe2 0.000 0.500 0.000
O1 0.737 0.737 0.000
O2 0.737 0.263 0.000
O3 0.263 0.737 0.000
O4 0.263 0.263 0.000
```

Its magnetic moment is 6.07 Bohr magnetons per cell. The calculation puts the total energy at -6.185 eV per atom. For the volume, the calculation gives 14.1 A^3/atom. As for the energy of formation from the pure elements: -11.82 eV/f.u. For the energy above the most stable polymorph in this dataset, the calculation gives 488 meV/atom.

=====

(5)
The following is a PBE with a Hubbard U calculation of Ca2Fe2O5 after structural relaxation, from the Materials Project.

```
data_Ca2Fe2O5
_symmetry_space_group_name_H-M 'P 1'
_symmetry_Int_Tables_number 1
_cell_length_a 6.031
_cell_length_b 6.507
_cell_length_c 6.531
_cell_angle_alpha 109.21
_cell_angle_beta 96.87
_cell_angle_gamma 103.22
loop_
_symmetry_equiv_pos_as_xyz
'x,y,z'
loop_
_atom_site_label
_atom_site_fract_x
_atom_site_fract_y
_atom_site_fract_z
Ca1 0.716 0.891 0.982
Ca2 0.242 0.488 0.618
Ca3 0.758 0.512 0.382
Ca4 0.284 0.109 0.018
Fe1 0.662 0.202 0.655
Fe2 0.000 0.000 0.500
Fe3 0.338 0.798 0.345
Fe4 0.000 0.500 0.000
O1 0.343 0.752 0.022
O2 0.782 0.532 0.751
O3 0.845 0.188 0.393
O4 0.641 0.855 0.550
O5 0.058 0.234 0.798
O6 0.942 0.766 0.202
O7 0.359 0.145 0.450
O8 0.155 0.812 0.607
O9 0.218 0.468 0.249
O10 0.657 0.248 0.978
```

Its magnetic moment is 20.00 Bohr magnetons per cell. The calculation puts the total energy at -6.457 eV per atom. For the volume, the calculation gives 12.8 A^3/atom. As for the energy of formation from the pure elements: -20.37 eV/f.u. For the energy above the most stable polymorph in this dataset, the calculation gives 193 meV/atom.

=====

(6)
The following is a PBE with a Hubbard U calculation of CaFe5O7 after structural relaxation, from the Materials Project.

```
data_CaFe5O7
_symmetry_space_group_name_H-M 'P 1'
_symmetry_Int_Tables_number 1
_cell_length_a 5.395
_cell_length_b 6.167
_cell_length_c 18.024
_cell_angle_alpha 90.00
_cell_angle_beta 90.00
_cell_angle_gamma 106.70
loop_
_symmetry_equiv_pos_as_xyz
'x,y,z'
loop_
_atom_site_label
_atom_site_fract_x
_atom_site_fract_y
_atom_site_fract_z
Ca1 0.583 0.895 0.250
Ca2 0.417 0.105 0.750
Ca3 0.579 0.394 0.250
Ca4 0.421 0.606 0.750
Fe1 0.551 0.139 0.075
Fe2 0.449 0.861 0.575
Fe3 0.449 0.861 0.925
Fe4 0.551 0.139 0.425
Fe5 0.919 0.229 0.848
Fe6 0.081 0.771 0.348
Fe7 0.081 0.771 0.152
Fe8 0.919 0.229 0.652
Fe9 0.000 0.000 0.000
Fe10 0.000 0.000 0.500
Fe11 0.549 0.637 0.074
Fe12 0.451 0.363 0.574
Fe13 0.451 0.363 0.926
Fe14 0.549 0.637 0.426
Fe15 0.916 0.727 0.845
Fe16 0.084 0.273 0.345
Fe17 0.084 0.273 0.155
Fe18 0.916 0.727 0.655
Fe19 0.000 0.500 0.000
Fe20 0.000 0.500 0.500
O1 0.900 0.225 0.250
O2 0.100 0.775 0.750
O3 0.849 0.957 0.395
O4 0.151 0.043 0.895
O5 0.151 0.043 0.605
O6 0.849 0.957 0.105
O7 0.259 0.827 0.468
O8 0.741 0.173 0.968
O9 0.741 0.173 0.532
O10 0.259 0.827 0.032
O11 0.344 0.080 0.330
O12 0.656 0.920 0.830
O13 0.656 0.920 0.670
O14 0.344 0.080 0.170
O15 0.918 0.730 0.250
O16 0.082 0.270 0.750
O17 0.845 0.469 0.391
O18 0.155 0.531 0.891
O19 0.155 0.531 0.609
O20 0.845 0.469 0.109
O21 0.266 0.304 0.469
O22 0.734 0.696 0.969
O23 0.734 0.696 0.531
O24 0.266 0.304 0.031
O25 0.344 0.594 0.331
O26 0.656 0.406 0.831
O27 0.656 0.406 0.669
O28 0.344 0.594 0.169
```

Its magnetic moment is 88.00 Bohr magnetons per cell. The calculation puts the total energy at -6.656 eV per atom. For the volume, the calculation gives 11.0 A^3/atom. As for the energy of formation from the pure elements: -23.62 eV/f.u.

=====

(7)
The following is a PBE with a Hubbard U calculation of Ca2Fe2O5 after structural relaxation, from the Materials Project.

```
data_Ca2Fe2O5
_symmetry_space_group_name_H-M 'P 1'
_symmetry_Int_Tables_number 1
_cell_length_a 5.371
_cell_length_b 5.515
_cell_length_c 8.237
_cell_angle_alpha 90.00
_cell_angle_beta 90.00
_cell_angle_gamma 90.00
loop_
_symmetry_equiv_pos_as_xyz
'x,y,z'
loop_
_atom_site_label
_atom_site_fract_x
_atom_site_fract_y
_atom_site_fract_z
Ca1 0.962 0.785 0.500
Ca2 0.462 0.215 0.000
Ca3 0.557 0.294 0.500
Ca4 0.057 0.706 0.000
Fe1 0.489 0.748 0.720
Fe2 0.989 0.252 0.780
Fe3 0.989 0.252 0.220
Fe4 0.489 0.748 0.280
O1 0.877 0.294 0.000
O2 0.377 0.706 0.500
O3 0.732 0.027 0.310
O4 0.232 0.973 0.190
O5 0.795 0.526 0.687
O6 0.295 0.474 0.813
O7 0.732 0.027 0.690
O8 0.232 0.973 0.810
O9 0.295 0.474 0.187
O10 0.795 0.526 0.313
```

Its magnetic moment is 20.00 Bohr magnetons per cell. The calculation puts the total energy at -6.477 eV per atom. For the volume, the calculation gives 13.6 A^3/atom. As for the energy of formation from the pure elements: -20.55 eV/f.u. For the energy above the most stable polymorph in this dataset, the calculation gives 173 meV/atom.

=====

(8)
The following is a PBE with a Hubbard U calculation of CaFe2O4 after structural relaxation, from the Materials Project.

```
data_CaFe2O4
_symmetry_space_group_name_H-M 'P 1'
_symmetry_Int_Tables_number 1
_cell_length_a 6.276
_cell_length_b 6.276
_cell_length_c 15.530
_cell_angle_alpha 89.46
_cell_angle_beta 89.46
_cell_angle_gamma 59.84
loop_
_symmetry_equiv_pos_as_xyz
'x,y,z'
loop_
_atom_site_label
_atom_site_fract_x
_atom_site_fract_y
_atom_site_fract_z
Ca1 0.834 0.834 0.045
Ca2 0.504 0.504 0.380
Ca3 0.167 0.167 0.338
Ca4 0.169 0.169 0.718
Ca5 0.501 0.501 0.996
Ca6 0.501 0.501 0.621
Fe1 0.338 0.824 0.165
Fe2 0.340 0.340 0.166
Fe3 0.000 0.506 0.500
Fe4 0.824 0.338 0.165
Fe5 0.013 0.013 0.511
Fe6 0.833 0.833 0.662
Fe7 0.832 0.832 0.283
Fe8 0.672 0.161 0.829
Fe9 0.506 0.000 0.500
Fe10 0.673 0.673 0.829
Fe11 0.161 0.672 0.829
Fe12 0.168 0.168 0.952
O1 0.649 0.203 0.098
O2 0.499 0.499 0.236
O3 0.648 0.648 0.097
O4 0.203 0.649 0.098
O5 0.318 0.865 0.442
O6 0.492 0.002 0.238
O7 0.172 0.172 0.577
O8 0.004 0.004 0.240
O9 0.167 0.167 0.084
O10 0.321 0.321 0.438
O11 0.865 0.318 0.442
O12 0.002 0.492 0.238
O13 0.975 0.557 0.754
O14 0.114 0.696 0.578
O15 0.694 0.694 0.579
O16 0.834 0.834 0.899
O17 0.822 0.822 0.411
O18 0.975 0.975 0.753
O19 0.557 0.975 0.754
O20 0.696 0.114 0.578
O21 0.838 0.334 0.902
O22 0.332 0.332 0.902
O23 0.503 0.503 0.770
O24 0.334 0.838 0.902
```

Its magnetic moment is 60.00 Bohr magnetons per cell. The calculation puts the total energy at -6.611 eV per atom. For the volume, the calculation gives 12.6 A^3/atom. As for the energy of formation from the pure elements: -14.80 eV/f.u. For the energy above the most stable polymorph in this dataset, the calculation gives 62 meV/atom.